Entry from Materials Project: CaCr2O2 after structural relaxation (PBE+U).

Cell and atoms, written as POSCAR:
```
CaCr2O2
1.0
-3.5366 3.5366 -5.8744
3.5366 -3.5366 -5.8744
-3.5366 -3.5366 5.8744
O Cr Ca
8 8 4
direct
0.1685 0.9148 0.2536
0.6648 0.4185 0.7536
0.6648 0.9112 0.2464
0.0852 0.8315 0.7464
0.0888 0.3352 0.7536
0.0852 0.3388 0.2536
0.5815 0.3352 0.2464
0.6612 0.9148 0.7464
0.4839 0.7638 0.2799
0.2661 0.0459 0.7799
0.5138 0.7339 0.7799
0.7959 0.5161 0.2799
0.2362 0.5161 0.7201
0.2661 0.4862 0.2201
0.4839 0.2041 0.7201
0.9541 0.7339 0.2201
0.8750 0.1250 0.7500
0.8750 0.6250 0.7500
0.3750 0.1250 0.2500
0.8750 0.1250 0.2500
```

Output
The volume is 14.69 Å³/atom. For the energy, the calculation gives -6.353 eV/atom. The total moment comes out at 39.1 μB/cell. As for the symmetry: I4_1/amd (141). Its formation energy is -114.43 kJ/mol of atoms.